(1)
# NaSrPrNbO6

A relaxed NaSrPrNbO6 crystal (PBE, Materials Project).

Cell lengths 8.5093, 8.5153, 8.5308 Å; angles 90.00, 90.00, 90.00 degrees
Element x y z (fractional)
Na 0.2500 0.2500 0.2500
Na 0.2500 0.7500 0.7500
Na 0.7500 0.2500 0.2500
Na 0.7500 0.7500 0.7500
Sr 0.2500 0.2500 0.7500
Sr 0.2500 0.7500 0.2500
Sr 0.7500 0.2500 0.7500
Sr 0.7500 0.7500 0.2500
Pr 0.0000 0.0000 0.0000
Pr 0.0000 0.5000 0.5000
Pr 0.5000 0.0000 0.5000
Pr 0.5000 0.5000 0.0000
Nb 0.0000 0.0000 0.5000
Nb 0.0000 0.5000 0.0000
Nb 0.5000 0.0000 0.0000
Nb 0.5000 0.5000 0.5000
O 0.0348 0.2302 0.5491
O 0.0348 0.2698 0.9509
O 0.0521 0.5418 0.7729
O 0.0521 0.9582 0.7271
O 0.2283 0.5266 0.0567
O 0.2283 0.9734 0.4433
O 0.2717 0.5266 0.4433
O 0.2717 0.9734 0.0567
O 0.4479 0.5418 0.7271
O 0.4479 0.9582 0.7729
O 0.4652 0.2302 0.9509
O 0.4652 0.2698 0.5491
O 0.5348 0.7302 0.4509
O 0.5348 0.7698 0.0491
O 0.5521 0.0418 0.2271
O 0.5521 0.4582 0.2729
O 0.7283 0.0266 0.9433
O 0.7283 0.4734 0.5567
O 0.7717 0.0266 0.5567
O 0.7717 0.4734 0.9433
O 0.9479 0.0418 0.2729
O 0.9479 0.4582 0.2271
O 0.9652 0.7302 0.0491
O 0.9652 0.7698 0.4509

Computed properties:
E (MP2020)	-7.667	eV per atom
SG	No. 48
E above lowest polymorph	0.000	eV per atom



(2)
# NaSrPrNbO6

A relaxed NaSrPrNbO6 crystal (PBE, Materials Project).

Cell lengths 6.1367, 6.1367, 6.1367 Å; angles 60.00, 60.00, 60.00 degrees
Element x y z (fractional)
Na 0.0000 0.0000 0.0000
Sr 0.5000 0.5000 0.5000
Pr 0.2500 0.2500 0.2500
Nb 0.7500 0.7500 0.7500
O 0.5188 0.5188 0.9812
O 0.5188 0.9812 0.5188
O 0.5188 0.9812 0.9812
O 0.9812 0.5188 0.5188
O 0.9812 0.5188 0.9812
O 0.9812 0.9812 0.5188

Computed properties:
E (MP2020)	-7.599	eV per atom
SG	No. 216
E above lowest polymorph	0.069	eV per atom



(3)
# Na3PrTi2Nb2O12

A relaxed Na3PrTi2Nb2O12 crystal (PBE, Materials Project).

Cell lengths 5.5318, 5.5887, 7.8717 Å; angles 89.91, 89.97, 89.97 degrees
Element x y z (fractional)
Na 0.0000 0.0000 0.0000
Na 0.0094 0.9651 0.5008
Na 0.5078 0.5000 0.0004
Pr 0.5007 0.4473 0.5006
Ti 0.0034 0.4720 0.2558
Ti 0.5097 0.9710 0.7462
Nb 0.0034 0.4793 0.7636
Nb 0.5093 0.9719 0.2367
O 0.0662 0.4744 0.0040
O 0.2279 0.2228 0.2945
O 0.2318 0.2198 0.7070
O 0.2874 0.7056 0.2906
O 0.2922 0.7088 0.7111
O 0.4340 0.9818 0.9975
O 0.5676 0.0030 0.5040
O 0.7147 0.2778 0.7740
O 0.7175 0.2823 0.2282
O 0.7822 0.7755 0.7806
O 0.7869 0.7719 0.2192
O 0.9344 0.5035 0.4972

Computed properties:
E (MP2020)	-8.324	eV per atom
SG	No. 1
E above lowest polymorph	0.009	eV per atom



(4)
# Na3PrTi2Nb2O12

A relaxed Na3PrTi2Nb2O12 crystal (PBE, Materials Project).

Cell lengths 15.6471, 5.5390, 5.6194 Å; angles 90.00, 90.00, 90.00 degrees
Element x y z (fractional)
Na 0.0000 0.2450 0.0000
Na 0.0000 0.7550 0.5000
Na 0.2534 0.2496 0.9626
Na 0.2534 0.7504 0.4626
Na 0.7466 0.2496 0.9626
Na 0.7466 0.7504 0.4626
Pr 0.5000 0.2446 0.0081
Pr 0.5000 0.7554 0.5081
Ti 0.3706 0.2566 0.4902
Ti 0.3706 0.7434 0.9902
Ti 0.6294 0.2566 0.4902
Ti 0.6294 0.7434 0.9902
Nb 0.1262 0.2551 0.4911
Nb 0.1262 0.7449 0.9911
Nb 0.8738 0.2551 0.4911
Nb 0.8738 0.7449 0.9911
O 0.0000 0.3164 0.4452
O 0.0000 0.6836 0.9452
O 0.1087 0.0404 0.7511
O 0.1087 0.9596 0.2511
O 0.1435 0.4577 0.1724
O 0.1435 0.5423 0.6724
O 0.2528 0.1838 0.4733
O 0.2528 0.8162 0.9733
O 0.3651 0.4699 0.1773
O 0.3651 0.5301 0.6773
O 0.3995 0.0306 0.7348
O 0.3995 0.9694 0.2348
O 0.5000 0.3189 0.4444
O 0.5000 0.6811 0.9444
O 0.6005 0.0306 0.7348
O 0.6005 0.9694 0.2348
O 0.6349 0.4699 0.1773
O 0.6349 0.5301 0.6773
O 0.7472 0.1838 0.4733
O 0.7472 0.8162 0.9733
O 0.8565 0.4577 0.1724
O 0.8565 0.5423 0.6724
O 0.8913 0.0404 0.7511
O 0.8913 0.9596 0.2511

Computed properties:
E (MP2020)	-8.334	eV per atom
SG	No. 26
E above lowest polymorph	0.000	eV per atom